# 1
Material: Mg6SiSb
Method: DFT, GGA-PBE
State: optimized geometry

Total energy after the MP2020 corrections = -0.08800 Ha/atom
Uncorrected energy = -37.93 eV per cell
Calculated density = 2.80 g cm⁻³

a b c (Å): 5.153 6.311 10.802
angles (deg): 90.00 90.00 90.00
Fractional coordinates of all 16 atoms:
Mg: 0.000 0.250 0.584
Mg: 0.000 0.750 0.584
Mg: 0.500 0.255 0.416
Mg: 0.500 0.745 0.416
Mg: 0.500 0.000 0.669
Mg: 0.500 0.000 0.166
Mg: 0.000 0.750 0.084
Mg: 0.000 0.250 0.084
Mg: 0.500 0.755 0.916
Mg: 0.500 0.245 0.916
Mg: 0.500 0.500 0.169
Mg: 0.500 0.500 0.666
Si: 0.000 0.000 0.833
Si: 0.000 0.500 0.333
Sb: 0.000 0.000 0.333
Sb: 0.000 0.500 0.833

***

# 2
Material: Li2ErIn
Method: DFT, GGA-PBE
State: optimized geometry

Uncorrected energy = -12.21 eV per cell
Calculated density = 6.13 g cm⁻³

a b c (Å): 4.840 4.840 4.840
angles (deg): 60.00 60.00 60.00
Fractional coordinates of all 4 atoms:
Li: 0.750 0.750 0.750
Li: 0.250 0.250 0.250
Er: 0.500 0.500 0.500
In: 0.000 0.000 0.000

***

Formation enthalpy at 0 K readings, ordered: 0.00; -0.27 eV/atom